Below is crystalline VSiNi at its relaxed geometry, with properties calculated at the PBE level.

Geometry as CIF:
```
data_VSiNi
_chemical_formula_sum 'V8 Si8 Ni8'
_space_group_name_H-M_alt 'A m m 2'
_space_group_IT_number 38
_space_group_name_Hall 'A 2 -2'
_cell_length_a 7.3485
_cell_length_b 4.7718
_cell_length_c 8.1653
_cell_angle_alpha 90.00
_cell_angle_beta 90.00
_cell_angle_gamma 90.00
loop_
_atom_site_label
_atom_site_type_symbol
_atom_site_fract_x
_atom_site_fract_y
_atom_site_fract_z
V1 V 0.1778 0.0000 0.0000
V2 V 0.3127 0.0000 0.6696
Si1 Si 0.0000 0.0000 0.5076
Si2 Si 0.0000 0.2420 0.7498
Si3 Si 0.5000 0.0000 0.1704
Ni1 Ni 0.2397 0.0000 0.3336
Ni2 Ni 0.5000 0.2437 0.9281
```

Properties
**DFT formation energy**: -123 kJ/mol of formula units
**M_tot**: 0.0 μB per cell

=====

Below is crystalline SbAsRu at its relaxed geometry, with properties calculated at the PBE level.

Geometry as CIF:
```
data_SbAsRu
_chemical_formula_sum 'Sb2 As2 Ru2'
_space_group_name_H-M_alt 'P 1 2/m 1'
_space_group_IT_number 10
_space_group_name_Hall '-P 2y'
_cell_length_a 5.7934
_cell_length_b 3.1333
_cell_length_c 6.5326
_cell_angle_alpha 90.00
_cell_angle_beta 92.77
_cell_angle_gamma 90.00
loop_
_atom_site_label
_atom_site_type_symbol
_atom_site_fract_x
_atom_site_fract_y
_atom_site_fract_z
Sb1 Sb 0.1835 0.0000 0.1460
As1 As 0.3227 0.5000 0.6352
Ru1 Ru 0.0000 0.0000 0.5000
Ru2 Ru 0.5000 0.5000 0.0000
```

Properties
**DFT formation energy**: -68 kJ/mol of formula units
**M_tot**: 0.0 μB per cell

=====

Question: Which value of DFT formation energy does entry 1 give?
Answer: -123 kJ/mol of formula units

=====

Question: Which value of DFT formation energy does entry 1 give?
Answer: -123 kJ/mol of formula units

=====

Question: Number 2 is which compound?
Answer: SbAsRu